(w)
! PBE with a Hubbard U Al2Fe2Bi2O9, relaxed; values from VASP
&SYSTEM
  ibrav = 0, nat = 30, ntyp = 4
/
ATOMIC_SPECIES
Al 26.98 Al.upf
O 16.00 O.upf
Fe 55.84 Fe.upf
Bi 208.98 Bi.upf
ATOMIC_POSITIONS crystal
Al 0.743 0.000 0.500
O 0.243 0.374 0.197
O 0.000 0.358 0.930
O 0.243 0.874 0.303
Fe 0.500 0.348 0.334
O 0.757 0.626 0.803
O 0.757 0.126 0.697
O 0.500 0.872 0.587
Fe 0.500 0.652 0.666
O 0.500 0.128 0.413
Fe 0.500 0.152 0.834
Al 0.743 0.500 0.000
Al 0.257 0.500 0.000
O 0.000 0.142 0.430
O 0.000 0.642 0.070
Bi 0.000 0.825 0.831
O 0.243 0.626 0.803
O 0.500 0.000 0.000
O 0.757 0.374 0.197
O 0.000 0.858 0.570
Bi 0.000 0.325 0.669
Bi 0.000 0.675 0.331
O 0.500 0.372 0.913
O 0.500 0.500 0.500
Fe 0.500 0.848 0.166
O 0.243 0.126 0.697
Al 0.257 0.000 0.500
Bi 0.000 0.175 0.169
O 0.757 0.874 0.303
O 0.500 0.628 0.087
CELL_PARAMETERS angstrom
-2.985 5.013 0.759
-5.985 -2.890 -4.449
-3.606 -3.196 6.927
! **Symmetry**: Pbam (55)
! **Crystal system**: orthorhombic

=====

(x)
! PBE with a Hubbard U Al2Fe2Bi2O9, relaxed; values from VASP
&SYSTEM
  ibrav = 0, nat = 30, ntyp = 4
/
ATOMIC_SPECIES
O 16.00 O.upf
Al 26.98 Al.upf
Bi 208.98 Bi.upf
Fe 55.84 Fe.upf
ATOMIC_POSITIONS crystal
O 0.747 0.124 0.717
O 0.000 0.654 0.059
O 0.747 0.376 0.217
Al 0.500 0.143 0.842
O 0.000 0.154 0.441
Bi 0.000 0.682 0.320
Bi 0.000 0.818 0.820
O 0.747 0.624 0.783
Bi 0.000 0.182 0.180
O 0.500 0.646 0.089
Fe 0.737 0.500 0.000
Al 0.500 0.857 0.158
O 0.500 0.854 0.589
O 0.500 0.146 0.411
O 0.000 0.846 0.559
O 0.500 0.354 0.911
Fe 0.737 0.000 0.500
O 0.253 0.376 0.217
Fe 0.263 0.500 0.000
O 0.500 0.500 0.500
O 0.253 0.624 0.783
Al 0.500 0.357 0.342
Al 0.500 0.643 0.658
Bi 0.000 0.318 0.680
O 0.500 0.000 0.000
O 0.747 0.876 0.283
Fe 0.263 0.000 0.500
O 0.253 0.124 0.717
O 0.000 0.346 0.941
O 0.253 0.876 0.283
CELL_PARAMETERS angstrom
-0.152 2.542 5.405
-4.729 -5.836 2.612
6.787 -4.473 2.295
! **Symmetry**: Pbam (55)
! **Crystal system**: orthorhombic

=====

Stability check: which of them is least stable? (w).

=====

(w)
! PBE with a Hubbard U Ca2AlFeO5, relaxed; values from VASP
&SYSTEM
  ibrav = 0, nat = 18, ntyp = 4
/
ATOMIC_SPECIES
O 16.00 O.upf
Ca 40.08 Ca.upf
Fe 55.84 Fe.upf
Al 26.98 Al.upf
ATOMIC_POSITIONS crystal
O 0.181 0.577 0.294
O 0.887 0.423 0.706
O 0.883 0.897 0.500
Ca 0.602 0.579 0.220
Fe 0.504 0.000 0.000
O 0.383 0.103 0.500
O 0.681 0.217 0.294
Ca 0.882 0.859 0.780
Al 0.712 0.173 0.500
Ca 0.382 0.421 0.780
O 0.266 0.767 0.028
O 0.387 0.783 0.706
Al 0.212 0.827 0.500
O 0.738 0.239 0.972
O 0.238 0.233 0.972
Fe 0.004 0.500 0.000
O 0.766 0.761 0.028
Ca 0.102 0.141 0.220
CELL_PARAMETERS angstrom
-1.912 4.536 2.309
1.951 -1.747 5.047
6.284 1.920 -4.968
! **Symmetry**: Ima2 (46)
! **Crystal system**: orthorhombic

=====

(x)
! PBE with a Hubbard U Ca2AlFeO5, relaxed; values from VASP
&SYSTEM
  ibrav = 0, nat = 36, ntyp = 4
/
ATOMIC_SPECIES
Ca 40.08 Ca.upf
O 16.00 O.upf
Al 26.98 Al.upf
Fe 55.84 Fe.upf
ATOMIC_POSITIONS crystal
Ca 0.491 0.019 0.605
O 0.752 0.252 0.489
O 0.582 0.892 0.750
O 0.985 0.942 0.365
O 0.418 0.108 0.250
O 0.082 0.608 0.750
O 0.748 0.752 0.511
Al 0.500 0.500 0.000
O 0.252 0.248 0.489
Ca 0.509 0.981 0.105
Al 0.000 0.000 0.000
Fe 0.448 0.561 0.750
O 0.015 0.058 0.865
O 0.918 0.392 0.250
O 0.252 0.248 0.011
Ca 0.509 0.981 0.395
Fe 0.552 0.439 0.250
Ca 0.009 0.519 0.105
Ca 0.491 0.019 0.895
Al 0.000 0.000 0.500
O 0.485 0.558 0.365
Ca 0.991 0.481 0.605
Fe 0.052 0.061 0.250
O 0.248 0.748 0.989
O 0.015 0.058 0.635
O 0.485 0.558 0.135
Al 0.500 0.500 0.500
O 0.515 0.442 0.635
O 0.985 0.942 0.135
O 0.748 0.752 0.989
O 0.248 0.748 0.511
Fe 0.948 0.939 0.750
O 0.515 0.442 0.865
O 0.752 0.252 0.011
Ca 0.991 0.481 0.895
Ca 0.009 0.519 0.395
CELL_PARAMETERS angstrom
5.310 0.000 0.000
0.000 5.448 0.000
0.000 0.000 15.043
! **Symmetry**: Pnma (62)
! **Crystal system**: orthorhombic

=====

Stability check: which of them is least stable? (x).

=====

(w)
! PBE with a Hubbard U Ca2Al2FeSi3O13, relaxed; values from VASP
&SYSTEM
  ibrav = 0, nat = 42, ntyp = 5
/
ATOMIC_SPECIES
Al 26.98 Al.upf
O 16.00 O.upf
Si 28.09 Si.upf
Fe 55.84 Fe.upf
Ca 40.08 Ca.upf
ATOMIC_POSITIONS crystal
Al 0.750 0.402 0.424
O 0.016 0.279 0.800
O 0.520 0.671 0.642
Al 0.750 0.230 0.148
O 0.980 0.671 0.642
O 0.525 0.089 0.177
O 0.250 0.560 0.851
O 0.020 0.329 0.358
O 0.975 0.089 0.177
O 0.484 0.279 0.800
O 0.480 0.329 0.358
O 0.750 0.879 0.023
Si 0.750 0.324 0.851
O 0.250 0.597 0.412
Fe 0.500 0.000 0.000
O 0.025 0.911 0.823
O 0.750 0.596 0.375
Si 0.750 0.607 0.222
Ca 0.750 0.925 0.342
O 0.984 0.721 0.200
Si 0.250 0.393 0.778
O 0.500 0.000 0.500
Si 0.750 0.562 0.672
Ca 0.250 0.075 0.658
O 0.750 0.206 0.975
O 0.250 0.794 0.025
O 0.750 0.440 0.149
O 0.516 0.721 0.200
Ca 0.750 0.906 0.653
Si 0.250 0.438 0.328
O 0.750 0.403 0.588
O 0.475 0.911 0.823
O 0.000 0.000 0.500
Al 0.250 0.598 0.576
O 0.250 0.487 0.174
Al 0.250 0.770 0.852
O 0.250 0.121 0.977
Fe 0.000 0.000 0.000
Ca 0.250 0.094 0.347
O 0.250 0.404 0.625
O 0.750 0.513 0.826
Si 0.250 0.676 0.149
CELL_PARAMETERS angstrom
4.165 3.975 0.799
4.788 -3.806 -6.025
-4.520 6.190 -7.233
! **Symmetry**: P2_1/m (11)
! **Crystal system**: monoclinic

=====

(x)
! PBE with a Hubbard U Ca2Al2FeSi3O13, relaxed; values from VASP
&SYSTEM
  ibrav = 0, nat = 42, ntyp = 5
/
ATOMIC_SPECIES
O 16.00 O.upf
Si 28.09 Si.upf
Ca 40.08 Ca.upf
Fe 55.84 Fe.upf
Al 26.98 Al.upf
ATOMIC_POSITIONS crystal
O 0.250 0.096 0.449
Si 0.250 0.814 0.680
O 0.021 0.689 0.641
Ca 0.750 0.761 0.151
O 0.250 0.053 0.124
O 0.493 0.767 0.960
O 0.521 0.311 0.359
O 0.979 0.311 0.359
Ca 0.250 0.239 0.849
Fe 0.750 0.709 0.773
O 0.250 0.928 0.592
O 0.250 0.627 0.097
O 0.507 0.233 0.040
O 0.750 0.518 0.181
Ca 0.250 0.402 0.576
O 0.479 0.689 0.641
Al 0.000 0.000 0.500
O 0.750 0.373 0.903
Si 0.750 0.315 0.728
O 0.983 0.200 0.664
O 0.993 0.233 0.040
Si 0.250 0.660 0.952
O 0.250 0.528 0.307
O 0.750 0.904 0.551
O 0.750 0.072 0.408
O 0.750 0.045 0.147
Al 0.500 0.000 0.500
O 0.017 0.800 0.336
O 0.750 0.472 0.693
Si 0.750 0.186 0.320
Ca 0.750 0.598 0.424
O 0.250 0.482 0.819
Al 0.000 0.000 0.000
Si 0.750 0.340 0.048
Fe 0.250 0.291 0.227
O 0.517 0.200 0.664
O 0.750 0.947 0.876
O 0.250 0.955 0.853
Al 0.500 0.000 0.000
O 0.007 0.767 0.960
Si 0.250 0.685 0.272
O 0.483 0.800 0.336
CELL_PARAMETERS angstrom
-0.823 3.633 4.332
8.495 2.848 -0.774
-7.077 5.119 -5.639
! **Symmetry**: P2_1/m (11)
! **Crystal system**: monoclinic

=====

Stability check: which of them is least stable? (w).

=====

(w)
! PBE with a Hubbard U CaTb4Al2Fe2O12, relaxed; values from VASP
&SYSTEM
  ibrav = 0, nat = 21, ntyp = 5
/
ATOMIC_SPECIES
Tb 158.93 Tb.upf
O 16.00 O.upf
Fe 55.84 Fe.upf
Al 26.98 Al.upf
Ca 40.08 Ca.upf
ATOMIC_POSITIONS crystal
Tb 0.486 0.568 0.251
O 0.774 0.880 0.057
O 0.088 0.442 0.252
O 0.639 0.334 0.041
Fe 0.611 0.010 0.479
O 0.096 0.210 0.572
O 0.303 0.632 0.539
Al 0.487 0.994 0.014
Fe 0.962 0.604 0.035
O 0.888 0.560 0.749
O 0.542 0.041 0.747
Tb 0.155 0.872 0.699
Tb 0.049 0.061 0.254
Al 0.971 0.487 0.489
O 0.321 0.691 0.952
Tb 0.461 0.421 0.750
O 0.867 0.783 0.433
O 0.664 0.348 0.460
Ca 0.890 0.206 0.845
O 0.216 0.124 0.960
O 0.405 0.947 0.259
CELL_PARAMETERS angstrom
-4.108 3.142 2.540
2.868 -1.655 5.047
4.430 5.876 -0.486
! **Symmetry**: P1 (1)
! **Crystal system**: triclinic

=====

(x)
! PBE with a Hubbard U CaTb4Al2Fe2O12, relaxed; values from VASP
&SYSTEM
  ibrav = 0, nat = 21, ntyp = 5
/
ATOMIC_SPECIES
Tb 158.93 Tb.upf
O 16.00 O.upf
Al 26.98 Al.upf
Ca 40.08 Ca.upf
Fe 55.84 Fe.upf
ATOMIC_POSITIONS crystal
Tb 0.542 0.407 0.740
O 0.570 0.026 0.785
O 0.177 0.104 0.988
O 0.031 0.457 0.286
Al 0.394 0.909 0.983
O 0.180 0.204 0.579
O 0.358 0.642 0.528
O 0.820 0.896 0.455
Tb 0.936 0.944 0.739
Tb 0.689 0.637 0.297
O 0.619 0.304 0.435
Al 0.112 0.475 0.525
Ca 0.359 0.304 0.196
Tb 0.854 0.122 0.212
O 0.482 0.955 0.216
O 0.329 0.629 0.951
O 0.902 0.563 0.692
Fe 0.458 0.991 0.516
O 0.843 0.812 0.036
Fe 0.006 0.536 0.972
O 0.701 0.370 0.031
CELL_PARAMETERS angstrom
-4.409 -3.329 -2.686
4.244 -4.509 -0.882
-2.042 -3.156 6.001
! **Symmetry**: P1 (1)
! **Crystal system**: triclinic

=====

Stability check: which of them is least stable? (w).

=====

(w)
! PBE with a Hubbard U CaMnAl4SiP3H5O20, relaxed; values from VASP
&SYSTEM
  ibrav = 0, nat = 70, ntyp = 7
/
ATOMIC_SPECIES
Al 26.98 Al.upf
H 1.01 H.upf
O 16.00 O.upf
Mn 54.94 Mn.upf
P 30.97 P.upf
Ca 40.08 Ca.upf
Si 28.09 Si.upf
ATOMIC_POSITIONS crystal
Al 0.235 0.502 0.497
H 0.864 0.864 0.055
O 0.872 0.872 0.258
Al 0.753 0.011 0.769
Al 0.498 0.765 0.503
O 0.562 0.113 0.329
H 0.814 0.814 0.359
O 0.369 0.587 0.282
O 0.128 0.128 0.742
O 0.091 0.631 0.988
Mn 0.714 0.714 0.053
P 0.463 0.956 0.805
O 0.900 0.623 0.813
O 0.593 0.593 0.355
O 0.587 0.369 0.282
O 0.113 0.562 0.329
Al 0.011 0.753 0.769
O 0.122 0.417 0.737
Al 0.502 0.235 0.497
P 0.534 0.534 0.233
O 0.623 0.900 0.813
Ca 0.257 0.743 0.000
O 0.909 0.369 0.012
O 0.438 0.887 0.671
O 0.369 0.909 0.012
H 0.840 0.254 0.547
Al 0.765 0.498 0.503
Si 0.950 0.950 0.335
O 0.407 0.407 0.645
H 0.186 0.186 0.641
O 0.113 0.878 0.752
O 0.583 0.878 0.263
P 0.466 0.466 0.767
O 0.887 0.438 0.671
O 0.404 0.404 0.982
O 0.122 0.887 0.248
O 0.848 0.848 0.938
Ca 0.743 0.257 0.000
H 0.679 0.679 0.690
O 0.596 0.596 0.018
O 0.670 0.153 0.577
O 0.878 0.113 0.752
O 0.878 0.583 0.263
O 0.887 0.122 0.248
H 0.160 0.746 0.453
O 0.153 0.670 0.577
Al 0.989 0.247 0.231
O 0.413 0.631 0.718
Al 0.247 0.989 0.231
Mn 0.286 0.286 0.947
O 0.905 0.905 0.579
O 0.330 0.847 0.423
H 0.254 0.840 0.547
O 0.100 0.377 0.187
Si 0.050 0.050 0.665
O 0.631 0.413 0.718
H 0.321 0.321 0.310
H 0.136 0.136 0.945
O 0.377 0.100 0.187
O 0.631 0.091 0.988
O 0.417 0.122 0.737
P 0.956 0.463 0.805
O 0.095 0.095 0.421
P 0.044 0.537 0.195
O 0.152 0.152 0.062
P 0.537 0.044 0.195
O 0.322 0.322 0.440
H 0.746 0.160 0.453
O 0.678 0.678 0.560
O 0.847 0.330 0.423
CELL_PARAMETERS angstrom
-3.466 -9.538 -2.398
-0.979 -6.117 8.388
-7.149 -0.541 1.820
! **Symmetry**: C2/m (12)
! **Crystal system**: monoclinic

=====

(x)
! PBE with a Hubbard U CaMnAl4SiP3H5O20, relaxed; values from VASP
&SYSTEM
  ibrav = 0, nat = 70, ntyp = 7
/
ATOMIC_SPECIES
O 16.00 O.upf
H 1.01 H.upf
Al 26.98 Al.upf
P 30.97 P.upf
Si 28.09 Si.upf
Mn 54.94 Mn.upf
Ca 40.08 Ca.upf
ATOMIC_POSITIONS crystal
O 0.580 0.372 0.285
O 0.372 0.580 0.285
O 0.954 0.321 0.943
O 0.269 0.269 0.428
H 0.891 0.891 0.241
O 0.112 0.893 0.761
O 0.628 0.420 0.715
H 0.064 0.272 0.263
O 0.142 0.551 0.355
O 0.379 0.379 0.534
Al 0.794 0.585 0.476
H 0.189 0.189 0.901
O 0.321 0.954 0.943
O 0.893 0.112 0.761
H 0.895 0.895 0.917
O 0.888 0.107 0.239
O 0.930 0.930 0.557
O 0.551 0.142 0.355
O 0.629 0.629 0.069
O 0.763 0.763 0.090
O 0.428 0.070 0.693
O 0.436 0.132 0.101
P 0.535 0.535 0.607
P 0.064 0.548 0.207
O 0.679 0.046 0.057
Al 0.192 0.983 0.241
Si 0.046 0.046 0.688
O 0.858 0.449 0.645
O 0.731 0.731 0.572
Al 0.585 0.794 0.476
O 0.070 0.428 0.693
P 0.465 0.465 0.393
H 0.105 0.105 0.083
Al 0.983 0.192 0.241
O 0.143 0.660 0.875
Mn 0.240 0.240 0.171
O 0.237 0.237 0.910
O 0.572 0.930 0.307
O 0.132 0.436 0.101
O 0.420 0.628 0.715
H 0.109 0.109 0.759
O 0.660 0.143 0.875
P 0.452 0.936 0.793
P 0.936 0.452 0.793
Si 0.954 0.954 0.312
O 0.371 0.371 0.931
O 0.107 0.888 0.239
H 0.728 0.936 0.737
O 0.857 0.340 0.125
Ca 0.730 0.270 0.000
O 0.070 0.070 0.443
O 0.582 0.582 0.989
O 0.046 0.679 0.057
O 0.564 0.868 0.899
O 0.340 0.857 0.125
O 0.930 0.572 0.307
O 0.621 0.621 0.466
O 0.449 0.858 0.645
H 0.811 0.811 0.099
P 0.548 0.064 0.207
Mn 0.760 0.760 0.829
H 0.272 0.064 0.263
Al 0.017 0.808 0.759
H 0.936 0.728 0.737
O 0.418 0.418 0.011
Ca 0.270 0.730 0.000
Al 0.808 0.017 0.759
Al 0.206 0.415 0.524
Al 0.415 0.206 0.524
O 0.868 0.564 0.899
CELL_PARAMETERS angstrom
6.337 10.130 0.000
-6.337 10.130 0.000
0.000 1.853 6.788
! **Symmetry**: C2/m (12)
! **Crystal system**: monoclinic

=====

Stability check: which of them is least stable? (x).